1.
Here is a geometry-optimized Li3MnP2O8 structure from Materials Project. Energies are from GGA+U.

Lattice parameters (Å, degrees): 4.820 9.049 6.603 90.00 94.00 90.00
Element x y z (fractional)
Li 0.000 0.500 0.000
Li 0.995 0.866 0.332
Li 0.505 0.366 0.168
Li 0.005 0.134 0.668
Li 0.495 0.634 0.832
Li 0.500 0.000 0.500
O 0.166 0.123 0.002
O 0.701 0.150 0.165
O 0.799 0.650 0.334
O 0.137 0.091 0.383
O 0.363 0.591 0.117
O 0.334 0.623 0.498
O 0.299 0.850 0.834
O 0.425 0.846 0.284
O 0.637 0.409 0.884
O 0.924 0.654 0.784
O 0.833 0.877 0.998
O 0.863 0.909 0.616
O 0.076 0.346 0.216
O 0.576 0.154 0.716
O 0.667 0.377 0.502
O 0.201 0.350 0.665
P 0.525 0.323 0.697
P 0.025 0.177 0.197
P 0.975 0.823 0.803
P 0.475 0.677 0.303
Mn 0.000 0.500 0.500
Mn 0.500 0.000 0.000

ΔE_f   -2.60 eV per atom
Crystal system   monoclinic
Magnetic moment   8.00 μB/cell
Total energy after the MP2020 corrections   -7.267 eV per atom
Space group   P2_1/c
Relative energy among the computed polymorphs   0.8 meV/atom
E   -6.755 eV per atom

2.
Here is a geometry-optimized FeH8S2NO10 structure from Materials Project. Energies are from GGA+U.

Lattice parameters (Å, degrees): 4.588 5.793 8.708 100.77 98.51 97.39
Element x y z (fractional)
H 0.080 0.167 0.578
H 0.954 0.344 0.838
H 0.813 0.924 0.551
H 0.154 0.894 0.510
H 0.627 0.277 0.882
H 0.922 0.022 0.392
H 0.374 0.722 0.123
H 0.043 0.654 0.165
Fe 0.000 0.998 0.001
S 0.394 0.701 0.769
S 0.602 0.299 0.227
O 0.657 0.729 0.903
O 0.207 0.889 0.820
O 0.774 0.536 0.235
O 0.502 0.271 0.373
O 0.790 0.105 0.183
O 0.487 0.741 0.622
O 0.224 0.460 0.753
O 0.814 0.218 0.867
O 0.344 0.263 0.088
O 0.184 0.779 0.134
N 0.991 0.001 0.507

ΔE_f   -1.41 eV per atom
Crystal system   triclinic
Magnetic moment   5.00 μB/cell
Total energy after the MP2020 corrections   -6.028 eV per atom
Space group   P1
E   -5.613 eV per atom

3.
Here is a geometry-optimized BaCo2P2O8 structure from Materials Project. Energies are from GGA+U.

Lattice parameters (Å, degrees): 5.404 5.404 8.152 90.00 90.00 120.00
Element x y z (fractional)
O 0.965 0.404 0.801
O 0.439 0.035 0.801
O 0.404 0.439 0.199
O 0.333 0.667 0.455
O 0.035 0.596 0.199
O 0.596 0.561 0.801
O 0.561 0.965 0.199
O 0.667 0.333 0.545
Ba 0.000 0.000 0.000
Co 0.333 0.667 0.690
Co 0.667 0.333 0.310
P 0.667 0.333 0.731
P 0.333 0.667 0.269

ΔE_f   -2.57 eV per atom
Crystal system   trigonal
Magnetic moment   6.00 μB/cell
Total energy after the MP2020 corrections   -7.685 eV per atom
Space group   P-3
Relative energy among the computed polymorphs   2.5 meV/atom
E   -7.010 eV per atom

4.
Here is a geometry-optimized CrCuW2O8 structure from Materials Project. Energies are from GGA+U.

Lattice parameters (Å, degrees): 5.047 7.428 7.429 101.61 90.53 90.54
Element x y z (fractional)
Cr 0.250 0.176 0.824
Cr 0.750 0.824 0.176
O 0.109 0.429 0.816
O 0.081 0.196 0.076
O 0.086 0.936 0.299
O 0.439 0.405 0.306
O 0.561 0.594 0.694
O 0.939 0.306 0.406
O 0.891 0.571 0.184
O 0.610 0.816 0.429
O 0.419 0.924 0.804
O 0.061 0.694 0.594
O 0.415 0.701 0.064
O 0.585 0.298 0.936
O 0.920 0.804 0.924
O 0.390 0.184 0.571
O 0.581 0.076 0.196
O 0.915 0.064 0.701
W 0.245 0.665 0.837
W 0.745 0.837 0.665
W 0.755 0.335 0.163
W 0.255 0.163 0.335
Cu 0.749 0.336 0.664
Cu 0.250 0.664 0.336

ΔE_f   -1.98 eV per atom
Crystal system   triclinic
Magnetic moment   6.00 μB/cell
Total energy after the MP2020 corrections   -8.589 eV per atom
Space group   P-1
E   -7.225 eV per atom

5.
Here is a geometry-optimized Na2FeO3 structure from Materials Project. Energies are from GGA+U.

Lattice parameters (Å, degrees): 5.397 6.134 9.359 90.00 90.00 90.00
Element x y z (fractional)
Fe 0.776 0.163 0.750
Fe 0.224 0.837 0.250
Fe 0.276 0.337 0.750
Fe 0.724 0.663 0.250
Na 0.726 0.613 0.914
Na 0.774 0.113 0.414
Na 0.274 0.387 0.414
Na 0.226 0.887 0.586
Na 0.726 0.613 0.586
Na 0.226 0.887 0.914
Na 0.774 0.113 0.086
Na 0.274 0.387 0.086
O 0.632 0.377 0.250
O 0.368 0.623 0.750
O 0.987 0.716 0.387
O 0.868 0.877 0.750
O 0.513 0.216 0.887
O 0.013 0.284 0.613
O 0.132 0.123 0.250
O 0.513 0.216 0.613
O 0.013 0.284 0.887
O 0.487 0.784 0.387
O 0.487 0.784 0.113
O 0.987 0.716 0.113

ΔE_f   -1.59 eV per atom
Crystal system   orthorhombic
Magnetic moment   16.00 μB/cell
Total energy after the MP2020 corrections   -5.914 eV per atom
Space group   Pnma
Relative energy among the computed polymorphs   50.6 meV/atom
E   -5.194 eV per atom

6.
Here is a geometry-optimized K4MnH6S4O18 structure from Materials Project. Energies are from GGA+U.

Lattice parameters (Å, degrees): 7.607 10.928 21.190 90.00 90.00 90.00
Element x y z (fractional)
H 0.099 0.052 0.572
H 0.438 0.423 0.723
H 0.062 0.423 0.777
H 0.591 0.149 0.287
H 0.562 0.577 0.277
H 0.062 0.923 0.723
H 0.091 0.351 0.713
H 0.909 0.649 0.287
H 0.438 0.923 0.777
H 0.409 0.851 0.713
H 0.401 0.052 0.928
H 0.599 0.948 0.072
H 0.091 0.851 0.787
H 0.409 0.351 0.787
H 0.909 0.149 0.213
H 0.938 0.577 0.223
H 0.901 0.448 0.072
H 0.099 0.552 0.928
H 0.401 0.552 0.572
H 0.599 0.448 0.428
H 0.938 0.077 0.277
H 0.562 0.077 0.223
H 0.591 0.649 0.213
H 0.901 0.948 0.428
O 0.907 0.677 0.076
O 0.967 0.915 0.300
O 0.088 0.907 0.407
O 0.033 0.085 0.700
O 0.593 0.177 0.076
O 0.732 0.207 0.824
O 0.376 0.845 0.521
O 0.748 0.486 0.676
O 0.541 0.156 0.244
O 0.268 0.293 0.324
O 0.467 0.085 0.800
O 0.412 0.907 0.093
O 0.912 0.593 0.907
O 0.093 0.823 0.576
O 0.088 0.407 0.093
O 0.041 0.844 0.744
O 0.356 0.890 0.633
O 0.033 0.585 0.800
O 0.959 0.656 0.244
O 0.967 0.415 0.200
O 0.624 0.155 0.479
O 0.268 0.793 0.176
O 0.748 0.986 0.824
O 0.144 0.390 0.633
O 0.467 0.585 0.700
O 0.856 0.110 0.133
O 0.593 0.677 0.424
O 0.407 0.823 0.924
O 0.221 0.528 0.945
O 0.752 0.486 0.824
O 0.959 0.156 0.256
O 0.768 0.207 0.676
O 0.376 0.345 0.979
O 0.752 0.986 0.676
O 0.533 0.415 0.300
O 0.252 0.514 0.324
O 0.279 0.528 0.555
O 0.779 0.472 0.055
O 0.459 0.344 0.744
O 0.124 0.345 0.521
O 0.907 0.177 0.424
O 0.221 0.028 0.555
O 0.644 0.610 0.133
O 0.721 0.972 0.055
O 0.279 0.028 0.945
O 0.768 0.707 0.824
O 0.541 0.656 0.256
O 0.144 0.890 0.867
O 0.779 0.972 0.445
O 0.459 0.844 0.756
O 0.856 0.610 0.367
O 0.252 0.014 0.176
O 0.588 0.093 0.907
O 0.876 0.155 0.021
O 0.248 0.514 0.176
O 0.041 0.344 0.756
O 0.732 0.707 0.676
O 0.407 0.323 0.576
O 0.248 0.014 0.324
O 0.093 0.323 0.924
O 0.356 0.390 0.867
O 0.644 0.110 0.367
O 0.624 0.655 0.021
O 0.412 0.407 0.407
O 0.876 0.655 0.479
O 0.533 0.915 0.200
O 0.721 0.472 0.445
O 0.124 0.845 0.979
O 0.588 0.593 0.593
O 0.912 0.093 0.593
O 0.232 0.293 0.176
O 0.232 0.793 0.324
K 0.725 0.839 0.556
K 0.903 0.861 0.166
K 0.903 0.361 0.334
K 0.597 0.361 0.166
K 0.725 0.339 0.944
K 0.097 0.639 0.666
K 0.597 0.861 0.334
K 0.403 0.639 0.834
K 0.225 0.661 0.444
K 0.225 0.161 0.056
K 0.775 0.339 0.556
K 0.403 0.139 0.666
K 0.097 0.139 0.834
K 0.275 0.661 0.056
K 0.275 0.161 0.444
K 0.775 0.839 0.944
S 0.869 0.092 0.662
S 0.238 0.887 0.928
S 0.369 0.408 0.338
S 0.762 0.113 0.072
S 0.869 0.592 0.838
S 0.631 0.092 0.838
S 0.738 0.613 0.072
S 0.369 0.908 0.162
S 0.131 0.908 0.338
S 0.131 0.408 0.162
S 0.738 0.113 0.428
S 0.262 0.887 0.572
S 0.762 0.613 0.428
S 0.238 0.387 0.572
S 0.262 0.387 0.928
S 0.631 0.592 0.662
Mn 0.250 0.657 0.250
Mn 0.750 0.843 0.750
Mn 0.250 0.157 0.250
Mn 0.750 0.343 0.750

ΔE_f   -1.82 eV per atom
Crystal system   orthorhombic
Magnetic moment   2.86 μB/cell
Total energy after the MP2020 corrections   -6.052 eV per atom
Space group   Pccn
E   -5.627 eV per atom

7.
Here is a geometry-optimized Cr2F5 structure from Materials Project. Energies are from GGA+U.

Lattice parameters (Å, degrees): 5.534 5.534 7.313 68.04 68.04 87.06
Element x y z (fractional)
F 0.359 0.910 0.322
F 0.324 0.314 0.459
F 0.641 0.090 0.678
F 0.090 0.641 0.178
F 0.676 0.686 0.541
F 0.910 0.359 0.822
F 0.184 0.816 0.750
F 0.314 0.324 0.959
F 0.816 0.184 0.250
F 0.686 0.676 0.041
Cr 0.000 0.500 0.000
Cr 0.000 0.500 0.500
Cr 0.500 0.000 0.500
Cr 0.500 0.000 0.000

ΔE_f   -2.94 eV per atom
Crystal system   monoclinic
Total energy after the MP2020 corrections   -7.069 eV per atom
Space group   C2/c
E   -6.168 eV per atom

8.
Here is a geometry-optimized NaU4V3O20 structure from Materials Project. Energies are from GGA+U.

Lattice parameters (Å, degrees): 7.335 7.335 18.084 78.43 78.43 90.00
Element x y z (fractional)
O 0.217 0.720 0.052
O 0.046 0.097 0.806
O 0.903 0.954 0.694
O 0.845 0.595 0.810
O 0.954 0.713 0.592
O 0.155 0.405 0.190
O 0.097 0.649 0.305
O 0.351 0.903 0.195
O 0.287 0.046 0.908
O 0.895 0.465 0.069
O 0.791 0.345 0.309
O 0.097 0.046 0.306
O 0.720 0.217 0.552
O 0.655 0.209 0.191
O 0.399 0.345 0.309
O 0.465 0.535 0.931
O 0.280 0.783 0.448
O 0.345 0.791 0.809
O 0.535 0.105 0.431
O 0.713 0.954 0.092
O 0.046 0.287 0.408
O 0.772 0.783 0.448
O 0.535 0.465 0.069
O 0.783 0.280 0.948
O 0.601 0.655 0.691
O 0.209 0.655 0.691
O 0.595 0.845 0.310
O 0.649 0.097 0.805
O 0.405 0.155 0.690
O 0.105 0.535 0.931
O 0.217 0.228 0.052
O 0.535 0.465 0.431
O 0.465 0.535 0.569
O 0.228 0.217 0.552
O 0.783 0.772 0.948
O 0.465 0.895 0.569
O 0.903 0.351 0.695
O 0.954 0.903 0.194
O 0.655 0.601 0.191
O 0.345 0.399 0.809
V 0.682 0.432 0.136
V 0.875 0.125 0.750
V 0.318 0.568 0.864
V 0.125 0.875 0.250
V 0.432 0.682 0.636
V 0.568 0.318 0.364
U 0.349 0.099 0.802
U 0.472 0.222 0.555
U 0.778 0.528 0.945
U 0.099 0.349 0.302
U 0.528 0.778 0.445
U 0.222 0.472 0.055
U 0.651 0.901 0.198
U 0.901 0.651 0.698
Na 0.000 0.000 0.500
Na 0.000 0.000 0.000

ΔE_f   -3.07 eV per atom
Crystal system   monoclinic
Magnetic moment   0.00 μB/cell
Total energy after the MP2020 corrections   -9.236 eV per atom
Space group   C2/c
E   -8.563 eV per atom

Among the records above, which one has the lowest ΔE_f?
NaU4V3O20